The following is a DFT calculation (PBE) of a relaxed HfB crystal.

## Properties
Uncorrected energy in eV/cell: -17.46
ΔH_f (0 K) in eV per atom: -0.4135

abc: 3.421 3.421 3.421
angles: 60.00 60.00 60.00
Atoms (fractional coordinates):
1 Hf 0.000 0.000 0.000
2 B 0.500 0.500 0.500



The following is a DFT calculation (PBE) of a relaxed HfB4Ir3 crystal.

## Properties
Uncorrected energy in eV/cell: -134.90
ΔH_f (0 K) in eV per atom: -0.5325

abc: 7.621 7.621 3.526
angles: 90.00 90.00 120.00
Atoms (fractional coordinates):
1 Hf 0.333 0.667 0.250
2 Hf 0.667 0.333 0.750
3 B 0.000 0.000 0.000
4 B 0.000 0.000 0.500
5 B 0.051 0.602 0.750
6 B 0.398 0.449 0.750
7 B 0.449 0.051 0.250
8 B 0.551 0.949 0.750
9 B 0.602 0.551 0.250
10 B 0.949 0.398 0.250
11 Ir 0.075 0.332 0.750
12 Ir 0.257 0.925 0.750
13 Ir 0.332 0.257 0.250
14 Ir 0.668 0.743 0.750
15 Ir 0.743 0.075 0.250
16 Ir 0.925 0.668 0.250



The following is a DFT calculation (PBE) of a relaxed Hf3B2Ir5 crystal.

## Properties
Uncorrected energy in eV/cell: -191.58
ΔH_f (0 K) in eV per atom: -0.8366

abc: 9.283 9.283 3.394
angles: 90.00 90.00 90.00
Atoms (fractional coordinates):
1 Hf 0.000 0.000 0.000
2 Hf 0.176 0.324 0.000
3 Hf 0.324 0.824 0.000
4 Hf 0.500 0.500 0.000
5 Hf 0.676 0.176 0.000
6 Hf 0.824 0.676 0.000
7 B 0.119 0.619 0.000
8 B 0.381 0.119 0.000
9 B 0.619 0.881 0.000
10 B 0.881 0.381 0.000
11 Ir 0.000 0.500 0.500
12 Ir 0.073 0.780 0.500
13 Ir 0.220 0.073 0.500
14 Ir 0.280 0.573 0.500
15 Ir 0.427 0.280 0.500
16 Ir 0.500 0.000 0.500
17 Ir 0.573 0.720 0.500
18 Ir 0.720 0.427 0.500
19 Ir 0.780 0.927 0.500
20 Ir 0.927 0.220 0.500



The following is a DFT calculation (PBE) of a relaxed HfMg14B crystal.

## Properties
Uncorrected energy in eV/cell: -35.63
ΔE to the lowest computed polymorph in kJ per mole of atoms: 2.5
ΔH_f (0 K) in eV per atom: 0.2130

abc: 6.263 6.263 9.971
angles: 90.00 90.00 120.00
Atoms (fractional coordinates):
1 Hf 0.000 0.000 0.000
2 Mg 0.009 0.505 0.000
3 Mg 0.158 0.317 0.260
4 Mg 0.158 0.317 0.740
5 Mg 0.158 0.842 0.260
6 Mg 0.158 0.842 0.740
7 Mg 0.495 0.505 0.000
8 Mg 0.495 0.991 0.000
9 Mg 0.503 0.005 0.500
10 Mg 0.503 0.497 0.500
11 Mg 0.667 0.333 0.241
12 Mg 0.667 0.333 0.759
13 Mg 0.683 0.842 0.260
14 Mg 0.683 0.842 0.740
15 Mg 0.995 0.497 0.500
16 B 0.000 0.000 0.500



Question: Which of these has the lowest uncorrected energy?
Answer: Hf3B2Ir5